Below is a relaxed Sb8Pb5S17 crystal, with properties calculated at the PBE level.

abc: 13.712 11.970 20.489
angles: 90.00 106.02 90.00
Space group C2/c (No. 15)
Unique sites:
Sb (0.005, 0.018, 0.400) x8
Sb (0.012, 0.305, 0.530) x8
Sb (0.047, 0.376, 0.168) x8
Sb (0.228, 0.189, 0.913) x8
Pb (0.000, 0.324, 0.750) x4
Pb (0.234, 0.128, 0.324) x8
Pb (0.239, 0.413, 0.451) x8
S (0.000, 0.242, 0.250) x4
S (0.106, 0.085, 0.002) x8
S (0.111, 0.076, 0.824) x8
S (0.112, 0.359, 0.897) x8
S (0.118, 0.189, 0.623) x8
S (0.129, 0.188, 0.436) x8
S (0.130, 0.473, 0.559) x8
S (0.145, 0.494, 0.754) x8
S (0.181, 0.233, 0.169) x8

Results
Electronic total energy ... -529.13 eV/cell
Total moment ... 0.0 μB per cell
Energy with MP2020 corrections ... -4.694 eV/atom

=====

Below is a relaxed Sb8Pb7S19 crystal, with properties calculated at the PBE level.

abc: 13.829 11.983 22.058
angles: 90.00 92.20 90.00
Space group C2/c (No. 15)
Unique sites:
Sb (0.089, 0.185, 0.322) x8
Sb (0.116, 0.485, 0.947) x8
Sb (0.123, 0.097, 0.503) x8
Sb (0.147, 0.383, 0.605) x8
Pb (0.000, 0.496, 0.250) x4
Pb (0.080, 0.175, 0.872) x8
Pb (0.150, 0.223, 0.070) x8
Pb (0.198, 0.070, 0.688) x8
S (0.000, 0.057, 0.250) x4
S (0.001, 0.274, 0.974) x8
S (0.041, 0.450, 0.119) x8
S (0.043, 0.007, 0.082) x8
S (0.086, 0.275, 0.690) x8
S (0.144, 0.319, 0.247) x8
S (0.177, 0.389, 0.859) x8
S (0.215, 0.039, 0.322) x8
S (0.225, 0.098, 0.978) x8
S (0.230, 0.340, 0.427) x8

Results
Electronic total energy ... -599.15 eV/cell
Total moment ... 0.0 μB per cell
Energy with MP2020 corrections ... -4.687 eV/atom

=====

Below is a relaxed Sb2Pb2S5 crystal, with properties calculated at the PBE level.

abc: 20.459 4.007 11.378
angles: 90.00 90.00 90.00
Space group Pnma (No. 62)
Unique sites:
Sb (0.027, 0.250, 0.203) x4
Sb (0.131, 0.250, 0.879) x4
Pb (0.096, 0.750, 0.499) x4
Pb (0.207, 0.750, 0.169) x4
S (0.020, 0.250, 0.638) x4
S (0.076, 0.750, 0.068) x4
S (0.130, 0.250, 0.315) x4
S (0.169, 0.750, 0.749) x4
S (0.233, 0.250, 0.992) x4

Results
Electronic total energy ... -158.58 eV/cell
Total moment ... 0.0 μB per cell
Energy with MP2020 corrections ... -4.684 eV/atom

=====

Below is a relaxed Sb6Pb6S17 crystal, with properties calculated at the PBE level.

abc: 15.645 23.374 3.992
angles: 90.00 90.00 90.00
Space group P2_12_12 (No. 18)
Unique sites:
Sb (0.058, 0.242, 0.488) x4
Sb (0.065, 0.930, 0.474) x4
Sb (0.176, 0.102, 0.501) x4
Pb (0.079, 0.625, 0.001) x4
Pb (0.179, 0.796, 0.996) x4
Pb (0.202, 0.462, 0.002) x4
S (0.000, 0.500, 0.777) x2
S (0.020, 0.851, 0.009) x4
S (0.045, 0.431, 0.497) x4
S (0.090, 0.721, 0.497) x4
S (0.099, 0.308, 0.003) x4
S (0.124, 0.004, 0.006) x4
S (0.186, 0.553, 0.495) x4
S (0.209, 0.886, 0.501) x4
S (0.226, 0.165, 0.004) x4

Results
Electronic total energy ... -253.92 eV/cell
Total moment ... 0.0 μB per cell
Energy with MP2020 corrections ... -4.673 eV/atom

=====

Below is a relaxed Sb8Pb9S21 crystal, with properties calculated at the PBE level.

abc: 13.887 12.067 25.319
angles: 90.00 104.94 90.00
Space group C2/c (No. 15)
Unique sites:
Sb (0.010, 0.165, 0.477) x8
Sb (0.020, 0.442, 0.577) x8
Sb (0.048, 0.240, 0.184) x8
Sb (0.221, 0.323, 0.878) x8
Pb (0.000, 0.459, 0.750) x4
Pb (0.020, 0.114, 0.640) x8
Pb (0.228, 0.015, 0.808) x8
Pb (0.234, 0.270, 0.409) x8
Pb (0.249, 0.052, 0.981) x8
S (0.000, 0.105, 0.250) x4
S (0.095, 0.223, 0.955) x8
S (0.110, 0.494, 0.869) x8
S (0.112, 0.218, 0.804) x8
S (0.117, 0.048, 0.548) x8
S (0.124, 0.334, 0.651) x8
S (0.129, 0.061, 0.398) x8
S (0.133, 0.387, 0.099) x8
S (0.134, 0.328, 0.499) x8
S (0.143, 0.368, 0.254) x8
S (0.178, 0.097, 0.183) x8

Results
Electronic total energy ... -671.17 eV/cell
Total moment ... 0.0 μB per cell
Energy with MP2020 corrections ... -4.694 eV/atom

=====

Below is a relaxed SbPb3S4 crystal, with properties calculated at the PBE level.

abc: 4.212 4.273 17.551
angles: 90.00 93.56 90.00
Space group Pm (No. 6)
Unique sites:
Sb (0.000, 0.000, 0.000) x1
Pb (0.273, 0.500, 0.171) x1
Pb (0.492, 0.500, 0.836) x1
Pb (0.809, 0.000, 0.338) x1
S (0.002, 0.000, 0.855) x1
S (0.292, 0.500, 0.328) x1
S (0.575, 0.500, 0.990) x1
S (0.744, 0.000, 0.182) x1

Results
Electronic total energy ... -34.41 eV/cell
Total moment ... 0.0 μB per cell
Energy with MP2020 corrections ... -4.552 eV/atom

=====

Below is a relaxed Sb8Pb3S15 crystal, with properties calculated at the PBE level.

abc: 13.591 11.731 18.197
angles: 90.00 95.86 90.00
Space group C2/c (No. 15)
Unique sites:
Sb (0.089, 0.051, 0.427) x8
Sb (0.093, 0.318, 0.842) x8
Sb (0.130, 0.366, 0.499) x8
Sb (0.139, 0.257, 0.065) x8
Pb (0.000, 0.375, 0.250) x4
Pb (0.190, 0.072, 0.662) x8
S (0.000, 0.184, 0.750) x4
S (0.028, 0.422, 0.089) x8
S (0.030, 0.141, 0.537) x8
S (0.065, 0.131, 0.158) x8
S (0.145, 0.455, 0.751) x8
S (0.189, 0.239, 0.403) x8
S (0.229, 0.175, 0.837) x8
S (0.236, 0.470, 0.963) x8

Results
Electronic total energy ... -458.14 eV/cell
Energy with MP2020 corrections ... -4.695 eV/atom

=====

Below is a relaxed Pb4SeS3 crystal, with properties calculated at the PBE level.

abc: 4.2912 4.2912 41.5733
angles: 90.00 90.00 120.00
Space group R-3m (No. 166, hexagonal axes)
Unique sites:
Pb (0.0000, 0.0000, 0.1232) x6
Pb (0.0000, 0.0000, 0.3747) x6
Se (0.0000, 0.0000, 0.5000) x3
S (0.0000, 0.0000, 0.0000) x3
S (0.0000, 0.0000, 0.2505) x6

Results
Electronic total energy ... -105.14 eV/cell
Energy with MP2020 corrections ... -4.569 eV/atom

=====

Below is a relaxed Pb2SeS crystal, with properties calculated at the PBE level.

abc: 4.3285 4.3285 21.1956
angles: 90.00 90.00 120.00
Space group R-3m (No. 166, hexagonal axes)
Unique sites:
Pb (0.0000, 0.0000, 0.2472) x6
Se (0.0000, 0.0000, 0.0000) x3
S (0.0000, 0.0000, 0.5000) x3

Results
Electronic total energy ... -51.68 eV/cell
Energy with MP2020 corrections ... -4.433 eV/atom
E above lowest polymorph ... 0 meV per atom

=====

Below is a relaxed Pb2SeS crystal, with properties calculated at the PBE level.

abc: 4.325 4.325 6.136
angles: 90.00 90.00 90.00
Space group P4/mmm (No. 123)
Unique sites:
Pb (0.000, 0.000, 0.000) x1
Pb (0.500, 0.500, 0.500) x1
Se (0.000, 0.000, 0.500) x1
S (0.500, 0.500, 0.000) x1

Results
Electronic total energy ... -17.20 eV/cell
Energy with MP2020 corrections ... -4.425 eV/atom
E above lowest polymorph ... 7 meV per atom

=====

Record-wise formation enthalpy at 0 K values, in meV per atom: -631 -639 -644 -626 -659 -576 -610 -725 -668 -661